## i
A relaxed P crystal, computed with PBE. Values from VASP.

Geometry as Quantum ESPRESSO input:
```
&SYSTEM
  ibrav = 0, nat = 1, ntyp = 1
/
ATOMIC_SPECIES
P 30.97 P.upf
ATOMIC_POSITIONS angstrom
P 0.000 0.000 0.000
CELL_PARAMETERS angstrom
2.447 0.000 0.000
0.000 2.447 0.000
0.000 0.000 2.447
```

Results
- space group = No. 221
- V (Å³ per cell) = 14.7
- crystal system = cubic

***

## ii
A relaxed P crystal, computed with PBE. Values from VASP.

Geometry as Quantum ESPRESSO input:
```
&SYSTEM
  ibrav = 0, nat = 4, ntyp = 1
/
ATOMIC_SPECIES
P 30.97 P.upf
ATOMIC_POSITIONS angstrom
P 5.786 3.271 6.788
P 5.786 0.878 3.211
P 5.786 -0.878 3.945
P 5.786 -3.271 0.367
CELL_PARAMETERS angstrom
5.786 -4.149 0.000
5.786 4.149 0.000
0.000 0.000 7.156
```

Results
- space group = No. 64
- V (Å³ per cell) = 343.5
- crystal system = orthorhombic

***

Least stable of them? ii.

***

## i
A relaxed Cs4GeO4 crystal, computed with PBE. Values from VASP.

Geometry as Quantum ESPRESSO input:
```
&SYSTEM
  ibrav = 0, nat = 36, ntyp = 3
/
ATOMIC_SPECIES
Cs 132.91 Cs.upf
Ge 72.64 Ge.upf
O 16.00 O.upf
ATOMIC_POSITIONS angstrom
Cs -0.126 0.650 2.174
Cs -2.274 2.971 7.532
Cs 1.447 4.464 0.890
Cs -0.701 6.398 6.247
Cs 0.484 4.795 9.563
Cs 2.632 6.066 4.205
Cs 1.554 1.246 8.489
Cs 3.702 2.374 3.132
Cs 3.713 4.867 7.584
Cs 5.861 5.995 2.226
Cs 4.783 1.175 6.510
Cs 6.931 2.446 1.152
Cs 8.117 0.843 4.468
Cs 5.969 2.778 9.826
Cs 9.689 4.270 3.183
Cs 7.541 6.591 8.541
Ge -1.424 0.910 10.623
Ge 0.724 2.711 5.265
Ge 6.691 4.531 5.450
Ge 8.839 6.331 0.092
O -3.068 1.652 10.463
O -0.920 1.969 5.105
O 1.048 3.653 3.750
O -1.100 7.209 9.108
O 0.822 3.773 6.731
O 2.970 7.089 1.374
O 1.948 1.382 5.447
O 4.096 2.238 0.090
O 3.319 5.003 10.626
O 5.467 5.859 5.268
O 4.446 0.152 9.342
O 6.594 3.468 3.984
O 8.516 0.032 1.607
O 6.368 3.589 6.965
O 8.336 5.273 5.610
O 10.484 5.589 0.253
CELL_PARAMETERS angstrom
11.712 0.000 0.000
0.000 7.241 0.000
-4.296 0.000 10.715
```

Results
- space group = No. 14
- V (Å³ per cell) = 908.7
- crystal system = monoclinic

***

## ii
A relaxed Cs4GeO4 crystal, computed with PBE. Values from VASP.

Geometry as Quantum ESPRESSO input:
```
&SYSTEM
  ibrav = 0, nat = 36, ntyp = 3
/
ATOMIC_SPECIES
Cs 132.91 Cs.upf
Ge 72.64 Ge.upf
O 16.00 O.upf
ATOMIC_POSITIONS angstrom
Cs 0.534 1.575 1.423
Cs -0.863 8.289 4.693
Cs -0.524 4.243 4.393
Cs 0.873 5.621 1.123
Cs -0.065 0.287 4.878
Cs 1.332 9.577 1.608
Cs 1.367 13.612 2.106
Cs -0.030 15.980 5.376
Cs 4.328 3.748 1.165
Cs 2.931 6.116 4.435
Cs 2.966 10.151 4.933
Cs 4.362 19.441 1.663
Cs 3.425 14.107 5.417
Cs 4.822 15.486 2.147
Cs 5.161 11.439 1.847
Cs 3.764 18.153 5.118
Ge -0.511 12.300 5.203
Ge 0.886 17.292 1.933
Ge 3.412 2.436 4.607
Ge 4.808 7.428 1.337
O -1.164 13.526 4.017
O 0.233 16.066 0.747
O -1.922 11.739 6.201
O -0.525 17.854 2.931
O 0.205 10.964 4.227
O 1.601 18.628 0.957
O 0.722 13.067 6.281
O 2.119 16.525 3.010
O 2.179 3.203 3.530
O 3.575 6.661 0.260
O 2.696 1.100 5.584
O 4.093 8.764 2.314
O 4.823 1.875 3.610
O 6.220 7.989 0.339
O 4.065 3.662 5.794
O 5.461 6.202 2.523
CELL_PARAMETERS angstrom
7.091 0.000 0.000
0.000 19.728 0.000
-2.794 0.000 6.541
```

Results
- space group = No. 14
- V (Å³ per cell) = 915.0
- crystal system = monoclinic

***

Least stable of them? ii.

***

## i
A relaxed BaSrCeBiO6 crystal, computed with PBE. Values from VASP.

Geometry as Quantum ESPRESSO input:
```
&SYSTEM
  ibrav = 0, nat = 20, ntyp = 5
/
ATOMIC_SPECIES
Ba 137.33 Ba.upf
Sr 87.62 Sr.upf
Ce 140.12 Ce.upf
Bi 208.98 Bi.upf
O 16.00 O.upf
ATOMIC_POSITIONS angstrom
Ba 0.054 0.237 2.218
Ba 6.140 6.087 6.558
Sr 2.997 3.415 2.222
Sr 3.197 2.908 6.554
Ce 0.025 3.162 4.388
Ce 3.072 0.000 0.000
Bi 0.008 3.140 0.000
Bi 3.089 0.022 4.388
O 0.648 3.249 6.702
O 1.248 4.940 4.017
O 1.288 4.875 0.353
O 1.730 1.880 0.483
O 1.815 1.951 3.912
O 2.651 0.336 6.697
O 3.543 5.987 2.079
O 4.379 4.372 4.864
O 4.464 4.444 8.293
O 4.906 1.449 8.423
O 4.946 1.383 4.759
O 5.546 3.074 2.074
CELL_PARAMETERS angstrom
6.144 0.000 0.000
0.017 6.279 0.000
0.033 0.044 8.776
```

Results
- space group = No. 2
- V (Å³ per cell) = 338.6
- crystal system = triclinic

***

## ii
A relaxed BaSrCeBiO6 crystal, computed with PBE. Values from VASP.

Geometry as Quantum ESPRESSO input:
```
&SYSTEM
  ibrav = 0, nat = 10, ntyp = 5
/
ATOMIC_SPECIES
Ba 137.33 Ba.upf
Sr 87.62 Sr.upf
Ce 140.12 Ce.upf
Bi 208.98 Bi.upf
O 16.00 O.upf
ATOMIC_POSITIONS angstrom
Ba 0.000 0.000 0.000
Sr 4.428 4.428 4.428
Ce 2.214 2.214 2.214
Bi 6.641 6.641 6.641
O 2.214 2.214 0.005
O 2.214 0.005 2.214
O 4.422 2.214 2.214
O 0.005 2.214 2.214
O 2.214 4.422 2.214
O 2.214 2.214 4.422
CELL_PARAMETERS angstrom
0.000 4.428 4.428
4.428 0.000 4.428
4.428 4.428 0.000
```

Results
- space group = No. 216
- V (Å³ per cell) = 173.6
- crystal system = cubic

***

Least stable of them? ii.

***

## i
A relaxed LiB11 crystal, computed with PBE. Values from VASP.

Geometry as Quantum ESPRESSO input:
```
&SYSTEM
  ibrav = 0, nat = 12, ntyp = 2
/
ATOMIC_SPECIES
Li 6.94 Li.upf
B 10.81 B.upf
ATOMIC_POSITIONS angstrom
Li 0.000 0.000 0.000
B 2.258 0.000 2.043
B 2.258 1.128 0.657
B 1.128 2.258 -0.657
B 1.130 0.000 3.429
B -0.897 1.360 2.043
B 0.897 1.360 2.043
B 0.000 2.258 0.737
B 0.000 1.130 4.744
B 0.000 2.258 3.350
B -0.897 3.155 2.043
B 0.897 3.155 2.043
CELL_PARAMETERS angstrom
-2.258 2.258 4.087
2.258 -2.258 4.087
2.258 2.258 -4.087
```

Results
- space group = No. 119
- V (Å³ per cell) = 83.3
- crystal system = tetragonal

***

## ii
A relaxed LiB11 crystal, computed with PBE. Values from VASP.

Geometry as Quantum ESPRESSO input:
```
&SYSTEM
  ibrav = 0, nat = 12, ntyp = 2
/
ATOMIC_SPECIES
Li 6.94 Li.upf
B 10.81 B.upf
ATOMIC_POSITIONS angstrom
Li 0.000 0.000 0.000
B 1.741 1.741 1.741
B 2.760 2.760 2.760
B 4.203 4.203 2.760
B 4.203 2.760 4.203
B 5.222 5.222 3.848
B 5.222 3.848 5.222
B 6.596 5.222 5.222
B 2.760 4.203 4.203
B 3.848 5.222 5.222
B 5.222 6.596 5.222
B 5.222 5.222 6.596
CELL_PARAMETERS angstrom
0.000 3.481 3.481
3.481 0.000 3.481
3.481 3.481 0.000
```

Results
- space group = No. 216
- V (Å³ per cell) = 84.4
- crystal system = cubic

***

Least stable of them? ii.

***

## i
A relaxed BaLaI5 crystal, computed with PBE. Values from VASP.

Geometry as Quantum ESPRESSO input:
```
&SYSTEM
  ibrav = 0, nat = 56, ntyp = 3
/
ATOMIC_SPECIES
Ba 137.33 Ba.upf
La 138.91 La.upf
I 126.90 I.upf
ATOMIC_POSITIONS angstrom
Ba -3.036 2.456 5.587
Ba -10.413 3.374 13.399
Ba -3.280 8.529 8.321
Ba 4.097 8.960 0.510
Ba -3.998 2.699 15.113
Ba 3.379 3.131 7.302
Ba 10.512 8.286 2.224
Ba 3.135 9.203 10.036
La -5.596 2.736 10.263
La 1.781 3.093 2.451
La -0.096 8.157 4.787
La -7.473 9.332 12.599
La 7.572 2.327 3.024
La 0.195 3.503 10.835
La -1.683 8.566 13.171
La 5.694 8.923 5.360
I -8.756 2.696 9.997
I -1.379 3.133 2.185
I -0.849 8.655 1.859
I -8.226 8.834 9.670
I -2.781 6.449 5.119
I -10.158 11.040 12.930
I -9.406 6.938 13.425
I -2.029 10.551 5.614
I -4.394 0.462 8.373
I 2.983 5.368 0.562
I 2.888 0.759 0.706
I -4.489 5.070 8.517
I -5.968 0.426 12.452
I 1.409 5.403 4.641
I 1.358 1.361 4.987
I -6.019 4.469 12.798
I -4.645 8.188 11.677
I 2.732 9.301 3.866
I -7.810 2.241 15.580
I -0.433 3.589 7.769
I 0.531 8.070 7.854
I 7.908 9.419 0.042
I -2.633 2.359 11.757
I 4.743 3.471 3.945
I 6.117 7.191 2.825
I -1.260 10.298 10.636
I -1.311 6.256 10.982
I 6.066 11.233 3.171
I 4.587 6.589 7.105
I -2.790 10.900 14.917
I -2.884 6.292 15.061
I 4.493 11.197 7.249
I 2.127 1.109 10.009
I 9.504 4.721 2.198
I 10.257 0.619 2.692
I 2.880 5.210 10.504
I 8.325 2.825 5.953
I 0.948 3.004 13.764
I 1.477 8.526 13.437
I 8.854 8.963 5.626
CELL_PARAMETERS angstrom
14.852 0.000 0.000
0.000 11.659 0.000
-14.754 0.000 15.623
```

Results
- space group = No. 14
- V (Å³ per cell) = 2705.3
- crystal system = monoclinic

***

## ii
A relaxed BaLaI5 crystal, computed with PBE. Values from VASP.

Geometry as Quantum ESPRESSO input:
```
&SYSTEM
  ibrav = 0, nat = 14, ntyp = 3
/
ATOMIC_SPECIES
Ba 137.33 Ba.upf
La 138.91 La.upf
I 126.90 I.upf
ATOMIC_POSITIONS angstrom
Ba 2.842 7.346 6.018
Ba 3.110 -7.346 2.006
La 2.842 1.767 6.018
La 3.110 -1.767 2.006
I 3.110 8.302 2.006
I 1.417 0.777 3.201
I 1.149 -0.777 7.213
I 3.211 4.334 0.058
I 3.010 4.334 3.955
I 2.943 -4.334 4.070
I 2.742 -4.334 7.967
I 4.804 0.777 0.811
I 4.536 -0.777 4.823
I 2.842 -8.302 6.018
CELL_PARAMETERS angstrom
3.244 -11.247 0.000
3.244 11.247 0.000
-0.536 0.000 8.025
```

Results
- space group = No. 15
- V (Å³ per cell) = 585.6
- crystal system = monoclinic

***

Least stable of them? i.

***

## i
A relaxed Y2HfO5 crystal, computed with PBE. Values from VASP.

Geometry as Quantum ESPRESSO input:
```
&SYSTEM
  ibrav = 0, nat = 32, ntyp = 3
/
ATOMIC_SPECIES
Y 88.91 Y.upf
Hf 178.49 Hf.upf
O 16.00 O.upf
ATOMIC_POSITIONS angstrom
Y 1.312 0.936 2.604
Y 1.402 0.936 6.522
Y 3.975 2.808 0.707
Y 4.066 2.808 8.419
Y 6.689 0.936 3.211
Y 6.779 0.936 10.923
Y 9.353 2.808 5.108
Y 9.443 2.808 9.026
Hf 1.830 0.936 10.300
Hf 3.548 2.808 4.485
Hf 7.207 0.936 7.144
Hf 8.925 2.808 1.329
O 0.047 2.808 7.032
O 0.057 2.808 1.817
O 2.472 0.936 0.598
O 2.635 2.808 10.334
O 2.682 2.808 2.669
O 2.695 0.936 8.484
O 2.742 0.936 4.519
O 2.905 2.808 6.413
O 5.320 0.936 7.632
O 5.331 0.936 1.217
O 5.424 2.808 10.413
O 5.435 2.808 3.998
O 7.849 0.936 5.217
O 8.012 2.808 7.111
O 8.059 2.808 3.146
O 8.073 0.936 8.961
O 8.120 0.936 1.296
O 8.283 2.808 11.031
O 10.698 0.936 9.813
O 10.708 0.936 4.598
CELL_PARAMETERS angstrom
10.755 0.000 0.000
0.000 3.744 0.000
0.000 0.000 11.630
```

Results
- space group = No. 62
- V (Å³ per cell) = 468.3
- crystal system = orthorhombic

***

## ii
A relaxed Y2HfO5 crystal, computed with PBE. Values from VASP.

Geometry as Quantum ESPRESSO input:
```
&SYSTEM
  ibrav = 0, nat = 16, ntyp = 3
/
ATOMIC_SPECIES
Y 88.91 Y.upf
Hf 178.49 Hf.upf
O 16.00 O.upf
ATOMIC_POSITIONS angstrom
Y 0.892 0.024 1.759
Y -0.618 -0.024 5.299
Y 9.408 0.024 1.781
Y 7.898 -0.024 5.321
Hf 5.905 0.000 0.000
Hf 4.395 0.000 3.540
O 4.895 1.797 0.313
O 2.781 0.834 2.512
O 5.404 1.797 3.227
O 3.640 0.970 5.310
O 1.271 -0.834 6.051
O 7.519 0.834 1.028
O 5.150 -0.970 1.770
O 3.385 -1.797 3.852
O 6.009 -0.834 4.568
O 3.894 -1.797 6.767
CELL_PARAMETERS angstrom
5.905 -2.764 0.000
5.905 2.764 0.000
-3.020 0.000 7.080
```

Results
- space group = No. 15
- V (Å³ per cell) = 231.1
- crystal system = monoclinic

***

Least stable of them? i.

***

## i
A relaxed Mn3Fe2N4 crystal, computed with PBE. Values from VASP.

Geometry as Quantum ESPRESSO input:
```
&SYSTEM
  ibrav = 0, nat = 36, ntyp = 3
/
ATOMIC_SPECIES
Mn 54.94 Mn.upf
Fe 55.84 Fe.upf
N 14.01 N.upf
ATOMIC_POSITIONS angstrom
Mn 0.398 0.999 0.485
Mn 0.398 2.574 4.602
Mn 1.173 0.000 5.085
Mn 1.173 3.573 0.001
Mn 1.947 4.573 4.602
Mn 1.947 6.147 0.485
Mn 2.744 0.999 9.688
Mn 2.744 2.574 5.571
Mn 3.519 0.000 5.088
Mn 3.519 3.573 10.171
Mn 4.293 4.573 5.571
Mn 4.293 6.147 9.688
Fe 0.947 5.360 2.543
Fe 1.173 0.000 7.601
Fe 1.173 3.573 7.658
Fe 1.399 1.787 2.543
Fe 3.293 5.360 7.630
Fe 3.519 0.000 2.572
Fe 3.519 3.573 2.515
Fe 3.745 1.787 7.630
N 0.026 0.860 3.846
N 0.026 2.713 1.240
N 0.083 4.255 3.794
N 0.083 6.465 1.292
N 2.263 0.681 1.292
N 2.263 2.892 3.794
N 2.320 4.434 1.240
N 2.320 6.286 3.846
N 2.372 0.860 6.326
N 2.372 2.713 8.933
N 2.429 4.255 6.379
N 2.429 6.465 8.881
N 4.609 0.681 8.881
N 4.609 2.892 6.379
N 4.666 4.434 8.933
N 4.666 6.286 6.326
CELL_PARAMETERS angstrom
4.692 0.000 0.000
0.000 7.147 0.000
0.000 0.000 10.173
```

Results
- space group = No. 52
- V (Å³ per cell) = 341.1
- crystal system = orthorhombic

***

## ii
A relaxed Mn3Fe2N4 crystal, computed with PBE. Values from VASP.

Geometry as Quantum ESPRESSO input:
```
&SYSTEM
  ibrav = 0, nat = 18, ntyp = 3
/
ATOMIC_SPECIES
Mn 54.94 Mn.upf
Fe 55.84 Fe.upf
N 14.01 N.upf
ATOMIC_POSITIONS angstrom
Mn 5.097 2.046 3.918
Mn 3.230 0.589 2.905
Mn 3.418 -0.589 0.293
Mn 6.963 0.589 4.932
Mn 7.151 -0.589 2.320
Mn 5.285 -2.046 1.306
Fe 1.361 0.981 4.564
Fe 9.020 -0.981 0.660
Fe 1.549 -0.981 1.952
Fe 8.832 0.981 3.272
N 1.302 0.709 2.731
N 3.803 0.872 4.670
N 1.490 -0.709 0.119
N 6.391 0.872 3.167
N 3.991 -0.872 2.058
N 8.892 0.709 5.106
N 6.579 -0.872 0.554
N 9.080 -0.709 2.493
CELL_PARAMETERS angstrom
5.379 -3.130 0.000
5.379 3.130 0.000
-0.376 0.000 5.224
```

Results
- space group = No. 15
- V (Å³ per cell) = 175.9
- crystal system = monoclinic

***

Least stable of them? i.